Record 1
VASP calculation (PBE) on a relaxed CsO crystal.

Calculated values
Final energy: -3.51 eV per atom

Cell: 6.060 6.060 6.060 Å, 90.00 90.00 90.00°
Space group Fm-3m (No. 225)
One atom of each set of equivalent atoms:
Cs 0.000 0.000 0.000 x4
O 0.000 0.000 0.500 x4


Record 2
VASP calculation (PBE) on a relaxed Fe4Se3N2 crystal.

Calculated values
Energy above the most stable polymorph in this dataset: 0.1442 eV/atom

Cell: 6.576 11.823 3.113 Å, 90.00 90.00 90.00°
Space group Pnnm (No. 58)
One atom of each set of equivalent atoms:
Fe 0.191 0.065 0.000 x4
Fe 0.203 0.863 0.500 x4
Se 0.000 0.500 0.000 x2
Se 0.137 0.222 0.500 x4
N 0.098 0.921 0.000 x4